[1]
DFT (PBE) results for crystalline Ta3AlSi3S3O24 at its relaxed geometry.

Lattice parameters (Å, degrees): 8.756 8.780 22.598 90.31 90.78 119.84
Space group P1 (No. 1)
Inequivalent atoms, fractional coordinates:
Ta 0.000 0.000 0.000 x1
Ta 0.001 0.983 0.715 x1
Ta 0.003 0.001 0.495 x1
Ta 0.009 0.018 0.213 x1
Ta 0.330 0.655 0.335 x1
Ta 0.334 0.681 0.545 x1
Ta 0.346 0.676 0.829 x1
Ta 0.667 0.331 0.664 x1
Ta 0.674 0.347 0.163 x1
Al 0.338 0.655 0.048 x1
Al 0.658 0.323 0.386 x1
Al 0.668 0.345 0.874 x1
Si 0.003 0.715 0.605 x1
Si 0.016 0.301 0.104 x1
Si 0.039 0.382 0.438 x1
Si 0.349 0.966 0.437 x1
Si 0.400 0.068 0.776 x1
Si 0.404 0.337 0.277 x1
Si 0.678 0.611 0.777 x1
Si 0.715 0.723 0.104 x1
Si 0.727 0.001 0.605 x1
S 0.056 0.662 0.940 x1
S 0.290 0.289 0.605 x1
S 0.294 0.995 0.104 x1
S 0.350 0.387 0.940 x1
S 0.623 0.962 0.940 x1
S 0.626 0.662 0.438 x1
S 0.673 0.053 0.274 x1
S 0.955 0.334 0.776 x1
S 0.959 0.624 0.273 x1
O 0.028 0.192 0.448 x1
O 0.040 0.825 0.948 x1
O 0.042 0.838 0.665 x1
O 0.047 0.201 0.162 x1
O 0.136 0.496 0.785 x1
O 0.139 0.641 0.277 x1
O 0.147 0.644 0.993 x1
O 0.149 0.505 0.495 x1
O 0.167 0.693 0.887 x1
O 0.170 0.973 0.449 x1
O 0.177 0.472 0.381 x1
O 0.177 0.487 0.090 x1
O 0.178 0.695 0.598 x1
O 0.186 0.968 0.157 x1
O 0.189 0.214 0.659 x1
O 0.191 0.207 0.948 x1
O 0.207 0.164 0.262 x1
O 0.208 0.048 0.764 x1
O 0.213 0.178 0.552 x1
O 0.215 0.035 0.051 x1
O 0.311 0.463 0.887 x1
O 0.314 0.843 0.092 x1
O 0.317 0.833 0.380 x1
O 0.318 0.466 0.597 x1
O 0.363 0.862 0.787 x1
O 0.375 0.499 0.992 x1
O 0.375 0.865 0.495 x1
O 0.377 0.509 0.283 x1
O 0.468 0.303 0.612 x1
O 0.471 0.154 0.113 x1
O 0.492 0.174 0.835 x1
O 0.503 0.637 0.787 x1
O 0.506 0.317 0.331 x1
O 0.506 0.368 0.932 x1
O 0.515 0.359 0.215 x1
O 0.516 0.878 0.991 x1
O 0.517 0.142 0.717 x1
O 0.518 0.151 0.431 x1
O 0.521 0.636 0.491 x1
O 0.522 0.874 0.279 x1
O 0.532 0.708 0.089 x1
O 0.540 0.823 0.595 x1
O 0.543 0.844 0.886 x1
O 0.544 0.696 0.385 x1
O 0.643 0.496 0.717 x1
O 0.649 0.131 0.219 x1
O 0.654 0.514 0.429 x1
O 0.656 0.139 0.930 x1
O 0.700 0.170 0.616 x1
O 0.701 0.530 0.114 x1
O 0.712 0.163 0.326 x1
O 0.716 0.535 0.835 x1
O 0.801 0.826 0.443 x1
O 0.803 0.971 0.946 x1
O 0.822 0.842 0.162 x1
O 0.827 0.986 0.664 x1
O 0.835 0.301 0.119 x1
O 0.836 0.032 0.264 x1
O 0.836 0.524 0.618 x1
O 0.841 0.812 0.766 x1
O 0.848 0.035 0.548 x1
O 0.851 0.308 0.828 x1
O 0.851 0.812 0.047 x1
O 0.857 0.550 0.324 x1
O 0.862 0.376 0.420 x1
O 0.881 0.506 0.931 x1
O 0.881 0.511 0.218 x1
O 0.885 0.372 0.721 x1
O 0.978 0.811 0.548 x1
O 0.983 0.165 0.047 x1
O 0.986 0.186 0.767 x1
O 0.986 0.802 0.261 x1

* energy of formation: -2.755 eV per atom
* crystal system: triclinic



[2]
DFT (PBE) results for crystalline TaAl3SiS5O24 at its relaxed geometry.

Lattice parameters (Å, degrees): 8.430 8.444 21.894 89.76 89.94 60.12
Space group P1 (No. 1)
Inequivalent atoms, fractional coordinates:
Ta 0.000 0.000 0.000 x1
Ta 0.013 0.983 0.496 x1
Ta 0.339 0.318 0.164 x1
Al 0.005 0.990 0.711 x1
Al 0.339 0.322 0.875 x1
Al 0.340 0.331 0.376 x1
Al 0.341 0.323 0.670 x1
Al 0.663 0.660 0.333 x1
Al 0.667 0.651 0.542 x1
Al 0.674 0.657 0.833 x1
Al 0.678 0.657 0.048 x1
Al 0.993 0.997 0.211 x1
Si 0.409 0.633 0.437 x1
Si 0.729 0.973 0.110 x1
Si 0.989 0.282 0.109 x1
S 0.004 0.697 0.609 x1
S 0.044 0.619 0.275 x1
S 0.052 0.322 0.772 x1
S 0.296 0.710 0.107 x1
S 0.299 0.990 0.609 x1
S 0.339 0.031 0.276 x1
S 0.339 0.611 0.772 x1
S 0.396 0.941 0.936 x1
S 0.628 0.035 0.772 x1
S 0.634 0.322 0.275 x1
S 0.661 0.381 0.936 x1
S 0.662 0.941 0.438 x1
S 0.715 0.282 0.609 x1
S 0.960 0.381 0.438 x1
S 0.963 0.645 0.935 x1
O 0.034 0.159 0.762 x1
O 0.035 0.795 0.267 x1
O 0.041 0.780 0.553 x1
O 0.050 0.150 0.046 x1
O 0.125 0.503 0.220 x1
O 0.135 0.358 0.718 x1
O 0.146 0.344 0.429 x1
O 0.146 0.483 0.926 x1
O 0.164 0.526 0.328 x1
O 0.169 0.517 0.618 x1
O 0.170 0.286 0.826 x1
O 0.171 0.305 0.115 x1
O 0.176 0.793 0.762 x1
O 0.179 0.782 0.050 x1
O 0.180 0.008 0.267 x1
O 0.180 0.027 0.554 x1
O 0.199 0.823 0.449 x1
O 0.211 0.956 0.662 x1
O 0.212 0.957 0.941 x1
O 0.218 0.817 0.161 x1
O 0.304 0.528 0.827 x1
O 0.308 0.151 0.329 x1
O 0.311 0.528 0.114 x1
O 0.312 0.156 0.618 x1
O 0.365 0.473 0.428 x1
O 0.370 0.118 0.220 x1
O 0.373 0.125 0.927 x1
O 0.375 0.493 0.718 x1
O 0.474 0.687 0.094 x1
O 0.479 0.827 0.881 x1
O 0.480 0.831 0.599 x1
O 0.482 0.693 0.379 x1
O 0.502 0.630 0.782 x1
O 0.503 0.120 0.429 x1
O 0.503 0.353 0.927 x1
O 0.504 0.859 0.991 x1
O 0.510 0.117 0.718 x1
O 0.510 0.855 0.281 x1
O 0.513 0.619 0.500 x1
O 0.516 0.360 0.220 x1
O 0.533 0.300 0.619 x1
O 0.534 0.166 0.116 x1
O 0.545 0.289 0.328 x1
O 0.546 0.153 0.827 x1
O 0.632 0.488 0.991 x1
O 0.642 0.859 0.495 x1
O 0.647 0.853 0.782 x1
O 0.656 0.483 0.282 x1
O 0.686 0.819 0.092 x1
O 0.698 0.461 0.881 x1
O 0.704 0.459 0.601 x1
O 0.713 0.823 0.384 x1
O 0.794 0.166 0.554 x1
O 0.810 0.016 0.762 x1
O 0.810 0.022 0.047 x1
O 0.813 0.156 0.269 x1
O 0.818 0.468 0.092 x1
O 0.828 0.966 0.448 x1
O 0.829 0.195 0.941 x1
O 0.835 0.191 0.663 x1
O 0.842 0.680 0.597 x1
O 0.845 0.456 0.384 x1
O 0.846 0.682 0.881 x1
O 0.853 0.941 0.167 x1
O 0.863 0.636 0.284 x1
O 0.870 0.485 0.782 x1
O 0.881 0.616 0.990 x1
O 0.884 0.488 0.494 x1
O 0.971 0.817 0.661 x1
O 0.972 0.196 0.448 x1
O 0.979 0.181 0.168 x1
O 0.987 0.808 0.942 x1

* energy of formation: -2.439 eV per atom
* crystal system: triclinic



Q: Which of these has the lowest energy of formation?
A: Ta3AlSi3S3O24